The following is a DFT calculation (meta-GGA r2SCAN) of a relaxed structure of PtPb.

Formation energy   -312 meV per atom
Space-group type   No. 194

Lattice parameters (Å, degrees): 4.3269 4.3269 5.5248 90.00 90.00 120.00
Last column: nearest neighbours and their distance in Å.
Element x y z (fractional)
Pt: 0.0000 0.0000 0.5000  2 Pt 2.76, 6 Pb 2.85
Pt: 0.0000 0.0000 0.0000  2 Pt 2.76, 6 Pb 2.85
Pb: 0.3334 0.6666 0.2500  6 Pt 2.85
Pb: 0.6666 0.3334 0.7500  6 Pt 2.85



The following is a DFT calculation (meta-GGA r2SCAN) of a relaxed structure of Pr4C2Br5.

Formation energy   -1608 meV per atom
Space-group type   No. 8

Lattice parameters (Å, degrees): 3.9516 8.3194 9.9482 105.92 78.54 89.99
Last column: nearest neighbours and their distance in Å.
Element x y z (fractional)
Br: 0.1668 0.6170 0.6675  3 Pr 2.98-3.09
Br: 0.8411 0.3780 0.3186  3 Pr 2.98-3.09
Br: 0.1703 0.1611 0.6594  4 Pr 3.05-3.30
Br: 0.8368 0.8347 0.3266  4 Pr 3.05-3.30
Br: 0.5022 0.4983 0.9946  4 Pr 3.16
Pr: 0.0027 0.2017 0.9943  4 C 2.69-2.70
Pr: 0.0038 0.7938 0.9919  4 C 2.69-2.70
Pr: 0.6631 0.8875 0.6745  1 C 2.28
Pr: 0.3441 0.1079 0.3115  1 C 2.28
C: 0.5409 0.9725 0.9180  1 C 1.40
C: 0.4659 0.0229 0.0679  1 C 1.40



The following is a DFT calculation (meta-GGA r2SCAN) of a relaxed structure of NiF3.

Formation energy   -1912 meV per atom
Space-group type   No. 167

Lattice parameters (Å, degrees): 5.1072 5.1072 5.1072 55.64 55.64 55.64
Last column: nearest neighbours and their distance in Å.
Element x y z (fractional)
F: 0.6158 0.8842 0.2500  2 Ni 1.86
F: 0.7500 0.3842 0.1158  2 Ni 1.86
F: 0.3842 0.1158 0.7500  2 Ni 1.86
F: 0.8842 0.2500 0.6158  2 Ni 1.86
F: 0.1158 0.7500 0.3842  2 Ni 1.86
F: 0.2500 0.6158 0.8842  2 Ni 1.86
Ni: 0.5000 0.5000 0.5000  6 F 1.86
Ni: 0.0000 0.0000 0.0000  6 F 1.86



The following is a DFT calculation (meta-GGA r2SCAN) of a relaxed structure of CrPd3.

Formation energy   -127 meV per atom
Space-group type   No. 221

Lattice parameters (Å, degrees): 3.8910 3.8908 3.8909 90.00 90.00 90.00
Last column: nearest neighbours and their distance in Å.
Element x y z (fractional)
Pd: 0.0000 0.5000 0.5000  4 Cr 2.75, 8 Pd 2.75
Pd: 0.5000 0.0000 0.5000  8 Pd 2.75, 4 Cr 2.75
Pd: 0.5000 0.5000 0.0000  8 Pd 2.75, 4 Cr 2.75
Cr: 0.0000 0.0000 0.0000  12 Pd 2.75